Here is V4OF11 after structural relaxation from Materials Project. Energies are from meta-GGA r2SCAN.

```
V4OF11
1.0
5.049 -0.002 0.005
-2.484 -4.689 -0.037
-2.437 0.947 -16.686
V O F
8 2 22
Cartesian
-2.497 -2.139 -14.665
0.017 -0.242 -6.270
0.094 -0.446 -12.467
0.064 -3.274 -4.200
-0.050 -3.602 -10.473
2.590 -1.624 -2.081
-4.825 -3.678 -16.625
2.537 -1.901 -8.373
-3.866 -3.058 -15.301
1.138 0.237 -11.086
-3.011 -0.518 -15.602
1.932 -3.383 -7.336
-1.870 -3.645 -13.610
-1.446 0.538 -11.933
-1.529 -1.232 -6.835
-1.504 -2.225 -3.629
-1.384 -2.679 -16.167
-0.951 -1.168 -13.999
-0.925 -3.934 -5.726
-0.897 -2.895 -8.902
-0.487 -1.957 -11.456
0.673 -1.790 -5.238
0.967 -0.854 -7.819
1.050 -2.607 -2.684
1.586 -1.043 -0.563
1.576 -2.574 -9.899
1.596 -1.456 -13.096
1.641 -4.312 -4.756
1.954 -0.071 -3.118
-1.853 -3.224 -1.124
3.163 -0.369 -9.376
4.111 -0.659 -1.431
```

Results
ρ in Mg/m³: 3.60
Excess energy over the best structure of this formula in the dataset in eV per atom: 0.001
E_form in meV per atom: -3176.4
Total DFT energy (no corrections) in hartree per atom: -0.339



Here is Te2Br after structural relaxation from Materials Project. Energies are from meta-GGA r2SCAN.

```
Te2Br
1.0
-2.309 -2.754 1.843
8.224 -9.566 -3.991
8.455 1.754 13.218
Te Br
16 8
Cartesian
4.798 -1.306 10.701
9.572 -9.259 0.369
10.556 -4.610 8.552
3.814 -5.956 2.518
6.823 -1.379 8.703
7.547 -9.186 2.367
10.911 -7.304 9.395
3.459 -3.261 1.674
5.139 -5.326 5.119
9.232 -5.239 5.951
7.730 -9.287 -1.981
6.640 -1.278 13.050
5.162 -2.462 5.003
9.208 -8.104 6.067
5.193 -9.229 -0.646
9.177 -1.336 11.716
0.704 -3.129 2.846
13.666 -7.437 8.224
7.615 -6.193 2.500
6.755 -4.372 8.570
2.881 -2.296 6.819
11.489 -8.269 4.251
4.882 -6.379 -1.204
9.488 -4.186 12.273
```

Results
ρ in Mg/m³: 5.28
E_form in meV per atom: -186.8
Total DFT energy (no corrections) in hartree per atom: -0.792



Here is ErSi2Ir2 after structural relaxation from Materials Project. Energies are from meta-GGA r2SCAN.

```
ErSi2Ir2
1.0
3.791 0.000 -1.439
-0.546 3.752 -1.439
-0.005 -0.005 5.702
Er Si Ir
1 2 2
Cartesian
0.000 0.000 0.000
2.014 2.328 -0.408
1.227 1.418 3.232
0.536 2.811 1.412
2.705 0.935 1.412
```

Results
ρ in Mg/m³: 12.45
E_form in meV per atom: -1178.0
Total DFT energy (no corrections) in hartree per atom: -1.191